Computed, not measured: a geometry-optimized SrCaNiWO6 structure at the PBE+U level of DFT.

Results
Formation energy   -2.593 eV/atom
Total energy after the MP2020 corrections   -7.8049 eV per atom

Cell: 5.5693 7.8968 5.6527 Å, 90.00 90.00 89.93°
Closest atoms and distances in Å follow each position.
Element x y z (fractional)
O 0.5864 0.7592 0.5163  1 W 1.96, 1 Ni 2.10
O 0.0864 0.2592 0.9837  1 W 1.96, 1 Ni 2.10
W 0.9999 0.4993 0.9994  6 O 1.95-1.96
O 0.7910 0.4622 0.2725  1 W 1.96, 1 Ni 2.10
Ca 0.0102 0.7531 0.4513  6 O 2.39-2.66
O 0.9365 0.7411 0.0249  1 W 1.95, 1 Ni 2.08
Sr 0.4947 0.7495 0.9689  7 O 2.48-2.77
O 0.2910 0.9622 0.2275  1 W 1.96, 1 Ni 2.10
O 0.7739 0.0325 0.2904  1 W 1.95, 1 Ni 2.10
W 0.4999 0.9993 0.5007  6 O 1.95-1.96
O 0.1919 0.5448 0.7162  1 W 1.96, 1 Ni 2.13
O 0.7155 0.4580 0.8038  1 W 1.96, 1 Ni 2.11
Sr 0.9947 0.2495 0.5311  7 O 2.48-2.77
Ca 0.5102 0.2531 0.0487  6 O 2.39-2.66
O 0.6919 0.0448 0.7838  1 W 1.96, 1 Ni 2.13
O 0.4365 0.2411 0.4751  1 W 1.95, 1 Ni 2.08
O 0.2739 0.5325 0.2096  1 W 1.95, 1 Ni 2.10
Ni 0.5001 0.5002 0.5024  6 O 2.08-2.13
O 0.2155 0.9580 0.6962  1 W 1.96, 1 Ni 2.11
Ni 0.0001 0.0002 0.9976  6 O 2.08-2.13


Computed, not measured: a geometry-optimized Sr3CaNi2W2O12 structure at the PBE+U level of DFT.

Results
Formation energy   -2.593 eV/atom
Total energy after the MP2020 corrections   -7.7891 eV per atom

Cell: 5.6233 5.6511 7.9577 Å, 90.10 90.04 90.10°
Closest atoms and distances in Å follow each position.
Element x y z (fractional)
Sr 0.5041 0.0254 0.2508  8 O 2.52-2.77
W 0.4986 0.4995 0.0030  6 O 1.95-1.96
Ca 0.9939 0.5386 0.2484  5 O 2.42-2.68
W 0.0015 0.9999 0.4975  6 O 1.94-1.96
O 0.8002 0.2774 0.4567  1 W 1.96, 1 Ni 2.13
O 0.5587 0.5021 0.7609  1 W 1.96, 1 Ni 2.12
O 0.7291 0.7877 0.4715  1 W 1.95, 1 Ni 2.09
O 0.2755 0.2076 0.5262  1 W 1.95, 1 Ni 2.08
Sr 0.4938 0.9713 0.7491  8 O 2.52-2.81
O 0.2302 0.7124 0.9681  1 W 1.95, 1 Ni 2.10
Ni 0.4997 0.4990 0.4980  6 O 2.08-2.13
Ni 0.0000 0.0013 0.0013  6 O 2.07-2.12
O 0.7755 0.2961 0.0433  1 W 1.96, 1 Ni 2.12
O 0.7120 0.7699 0.0328  1 W 1.96, 1 Ni 2.10
O 0.2931 0.2253 0.9706  1 W 1.95, 1 Ni 2.09
Sr 0.0042 0.4759 0.7500  6 O 2.51-2.79
O 0.9398 0.0176 0.7393  1 W 1.96, 1 Ni 2.11
O 0.2102 0.7280 0.5331  1 W 1.96, 1 Ni 2.10
O 0.4212 0.4949 0.2419  1 W 1.95, 1 Ni 2.08
O 0.0587 0.9699 0.2576  1 W 1.94, 1 Ni 2.07


Computed, not measured: a geometry-optimized Ca2TbNiO6 structure at the PBE+U level of DFT.

Results
Formation energy   -2.358 eV/atom
Total energy after the MP2020 corrections   -6.7690 eV per atom

Cell: 5.6655 5.6655 5.6655 Å, 60.00 60.00 60.00°
Closest atoms and distances in Å follow each position.
Element x y z (fractional)
Ni 0.0000 0.0000 0.0000  6 O 1.84
Ca 0.7500 0.7500 0.7500  12 O 2.84
O 0.7709 0.7709 0.2291  1 Ni 1.84
O 0.7709 0.2291 0.7709  1 Ni 1.84
O 0.2291 0.2291 0.7709  1 Ni 1.84
Tb 0.5000 0.5000 0.5000  6 O 2.17
Ca 0.2500 0.2500 0.2500  12 O 2.84
O 0.2291 0.7709 0.2291  1 Ni 1.84
O 0.2291 0.7709 0.7709  1 Ni 1.84
O 0.7709 0.2291 0.2291  1 Ni 1.84


Computed, not measured: a geometry-optimized CaTl4Ni4O12 structure at the PBE+U level of DFT.

Results
Formation energy   -1.094 eV/atom
Total energy after the MP2020 corrections   -5.5678 eV per atom
Relative energy among the computed polymorphs   0.000 eV per atom

Cell: 5.3991 5.6238 8.9402 Å, 82.76 95.77 94.17°
Closest atoms and distances in Å follow each position.
Element x y z (fractional)
O 0.8101 0.7524 0.4399  2 Ni 2.03-2.27, 1 Tl 2.26
O 0.7272 0.8045 0.0940  2 Ni 2.05-2.12, 1 Tl 2.20
Tl 0.0220 0.8440 0.6744  5 O 2.24-2.38
Ni 0.9760 0.5673 0.0315  5 O 1.98-2.12
O 0.8530 0.5217 0.8100  1 Ni 2.07, 2 Tl 2.21-2.24
Ni 0.0272 0.4684 0.4641  5 O 1.93-2.05
Tl 0.5250 0.5378 0.2461  3 O 2.14-2.25
O 0.3008 0.6706 0.5609  2 Ni 1.99-2.10, 1 Tl 2.22
Tl 0.9723 0.0478 0.2753  5 O 2.20-2.43
O 0.6673 0.0271 0.6995  1 Ni 2.02
Tl 0.4738 0.3910 0.7288  5 O 2.21-2.42
O 0.7296 0.2714 0.4132  2 Ni 1.93-2.01
O 0.2168 0.1829 0.5565  2 Ni 2.01-2.17
Ni 0.5095 0.9861 0.4886  5 O 2.01-2.17
O 0.1309 0.4659 0.2496  2 Ni 2.05-2.07, 1 Tl 2.14
Ca 0.9081 0.1150 0.9110  6 O 2.25-2.46
O 0.3618 0.9618 0.2703  2 Ni 2.05-2.06, 1 Tl 2.20
Ni 0.4506 0.0428 0.0502  5 O 1.91-2.06
O 0.7308 0.2744 0.0947  2 Ni 1.97-2.09
O 0.1993 0.8381 0.9517  2 Ni 1.93-1.98
O 0.2831 0.3122 0.9482  1 Ni 1.91


Computed, not measured: a geometry-optimized CaTl4Ni4O12 structure at the PBE+U level of DFT.

Results
Formation energy   -1.077 eV/atom
Total energy after the MP2020 corrections   -5.5507 eV per atom
Relative energy among the computed polymorphs   0.017 eV per atom

Cell: 5.8749 6.2546 7.3929 Å, 87.88 95.85 90.05°
Closest atoms and distances in Å follow each position.
Element x y z (fractional)
O 0.6776 0.4823 0.4605  1 Ni 2.01, 1 Tl 2.07
Tl 0.1018 0.0591 0.2247  5 O 2.25-2.42
O 0.2191 0.1132 0.9263  2 Tl 2.18-2.39, 1 Ni 2.21
Tl 0.4753 0.4173 0.7550  5 O 2.25-2.49
O 0.8602 0.9439 0.4882  2 Ni 1.84-2.00
Tl 0.4460 0.5382 0.2334  2 O 2.07-2.17
O 0.6689 0.3319 0.0546  2 Ni 1.93-2.06
O 0.0740 0.4137 0.2587  2 Ni 1.87-2.06
Ni 0.9404 0.4995 0.0276  4 O 1.81-1.96
Tl 0.0814 0.8479 0.7653  5 O 2.18-2.37
O 0.4570 0.9208 0.2652  2 Ni 1.94-2.08
O 0.8259 0.5701 0.7958  1 Ni 1.81
Ni 0.9332 0.6655 0.3816  5 O 2.00-2.09
Ca 0.9647 0.2936 0.6175  6 O 2.26-2.48
Ni 0.5749 0.0171 0.0199  5 O 2.06-2.21
O 0.2452 0.5929 0.9730  1 Ni 1.96, 1 Tl 2.17
O 0.2030 0.6058 0.5830  1 Ni 2.09, 2 Tl 2.23-2.25
O 0.6589 0.0866 0.7509  2 Ni 1.91-2.13
Ni 0.5564 0.9987 0.5117  4 O 1.79-1.94
O 0.8528 0.8045 0.1218  3 Ni 2.09-2.16, 1 Tl 2.26
O 0.2833 0.1188 0.5270  1 Ni 1.79


Computed, not measured: a geometry-optimized CaTl4Ni4O12 structure at the PBE+U level of DFT.

Results
Formation energy   -1.073 eV/atom
Total energy after the MP2020 corrections   -5.5467 eV per atom
Relative energy among the computed polymorphs   0.021 eV per atom

Cell: 5.5925 5.6895 8.8191 Å, 96.65 82.90 99.41°
Closest atoms and distances in Å follow each position.
Element x y z (fractional)
O 0.0963 0.4777 0.2197  1 Ni 2.15, 2 Tl 2.25-2.28, 1 Ca 2.28
Tl 0.0065 0.9418 0.8024  5 O 2.17-2.36
Ca 0.1128 0.8156 0.3862  4 O 2.28-2.34
O 0.3347 0.6410 0.5761  2 Ni 1.94-1.97
O 0.2280 0.2407 0.9198  2 Ni 2.12-2.13, 2 Tl 2.17-2.31
O 0.7036 0.7979 0.3728  1 Ni 1.88
Tl 0.4936 0.6034 0.1519  4 O 2.18-2.33
O 0.7489 0.2378 0.5014  2 Ni 1.93-1.94
O 0.2220 0.1045 0.5864  2 Ni 1.97-2.17
O 0.8956 0.5498 0.7603  1 Ni 1.95
Ni 0.0176 0.5194 0.9927  5 O 1.99-2.15
O 0.6945 0.3172 0.0478  2 Ni 1.95-2.01, 1 Tl 2.18
O 0.3351 0.7113 0.9264  2 Ni 1.89-1.99
Ni 0.5521 0.9416 0.5550  4 O 1.88-2.00
O 0.3868 0.9870 0.1957  1 Ni 1.95
Ni 0.0534 0.3812 0.5808  4 O 1.94-1.97
Ni 0.4777 0.0303 0.9789  4 O 1.89-1.95
Tl 0.4999 0.4328 0.7384  5 O 2.23-2.49
O 0.6320 0.0455 0.7695  2 Ni 1.94-2.00
O 0.8469 0.8301 0.0482  1 Ni 2.12, 3 Tl 2.32-2.36
Tl 0.8120 0.1436 0.2395  6 O 2.27-2.46